Entry 1:
VASP calculation (r²SCAN) on a relaxed Ce2B6Rh9 crystal.

Unit cell a=5.6253 b=5.6253 c=8.5243 alpha=90.00 beta=90.00 gamma=60.00
Sites, in units of the cell vectors:
1 Ce 0.9999 0.0000 0.2922
2 Ce 0.0001 0.0000 0.7074
3 B 0.6667 0.6667 0.0000
4 B 0.3333 0.3333 0.0000
5 B 0.6667 0.6667 0.3334
6 B 0.3333 0.3333 0.3334
7 B 0.3334 0.3333 0.6667
8 B 0.6667 0.6667 0.6667
9 Rh 0.4998 0.0000 0.1634
10 Rh 0.9999 0.5000 0.1634
11 Rh 0.5000 0.5000 0.1634
12 Rh 0.5000 0.0000 0.8367
13 Rh 0.0000 0.5001 0.8367
14 Rh 0.5001 0.4999 0.8367
15 Rh 0.5004 0.0000 0.5000
16 Rh 0.0000 0.4996 0.5000
17 Rh 0.4996 0.5004 0.5000

Entry 2:
VASP calculation (r²SCAN) on a relaxed CeBRh3 crystal.

Unit cell a=4.2115 b=4.2115 c=4.2115 alpha=90.00 beta=90.00 gamma=90.00
Sites, in units of the cell vectors:
1 Ce 0.0000 0.0000 0.0000
2 B 0.5000 0.5000 0.5000
3 Rh 0.0000 0.5000 0.5000
4 Rh 0.5000 0.5000 0.0000
5 Rh 0.5000 0.0000 0.5000

Entry 3:
VASP calculation (r²SCAN) on a relaxed CeB2Ru3 crystal.

Unit cell a=5.5188 b=5.5188 c=2.9951 alpha=90.00 beta=90.00 gamma=120.00
Sites, in units of the cell vectors:
1 Ce 0.0000 0.0000 0.0000
2 B 0.3333 0.6667 0.0000
3 B 0.6667 0.3333 0.0000
4 Ru 0.5000 0.0000 0.5000
5 Ru 0.5000 0.5000 0.5000
6 Ru 0.0000 0.5000 0.5000

Number 1: total magnetization 1.8 Bohr magnetons per cell, ρ 9.0 g/cm³, energy of formation from the pure elements -0.70 eV/atom. Number 2: total magnetization 0.2 Bohr magnetons per cell, ρ 10.2 g/cm³, energy of formation from the pure elements -0.80 eV/atom. Number 3: total magnetization 0.0 Bohr magnetons per cell, ρ 9.8 g/cm³, energy of formation from the pure elements -0.54 eV/atom.